1.
14
Lattice="5.9758 0.0780 0.0552 3.0555 5.1362 0.0552 3.0555 1.7641 4.8240" Properties=species:S:1:pos:R:3 comment="PBE+U Li2Ni3SnO8, relaxed" magnetic_moment_mub_per_atom=0.14 energy_corrected_mp2020_ev_per_atom=-6.073 formation_enthalpy_0k_kj_per_mol_fu=-1956.2 final_energy_ev_per_cell=-71.907 space_group="R-3m, No. 166" pbc="T T T"
Li 1.4576 0.8415 0.5951
Li 10.6292 6.1367 4.3393
Ni 3.0555 3.4501 2.4396
Ni 4.5156 0.9211 2.4396
Ni 4.5156 2.6071 0.0552
Sn 6.0434 3.4891 2.4672
O 3.2027 1.8491 1.3075
O 4.4831 2.5883 3.4792
O 4.4831 4.1430 1.2805
O 5.8295 1.8110 1.2805
O 6.2572 5.1673 3.6539
O 7.6037 2.8353 3.6539
O 7.6037 4.3900 1.4552
O 8.8841 5.1292 3.6269

2.
12
Lattice="-0.2306 4.2164 -4.4275 -3.6884 4.8619 0.4378 2.2522 5.6242 0.8544" Properties=species:S:1:pos:R:3 comment="PBE+U Mn3TeO8, relaxed" magnetic_moment_mub_per_atom=0.92 energy_corrected_mp2020_ev_per_atom=-7.514 formation_enthalpy_0k_kj_per_mol_fu=-1925.1 final_energy_ev_per_cell=-79.665 space_group="R-3m, No. 166" pbc="T T T"
Mn 1.0108 4.9203 -1.7865
Mn -1.9595 4.5392 -1.9948
Mn -0.7181 5.2431 0.6461
Te -0.8334 7.3513 -1.5676
O -1.2080 10.6554 -2.2722
O -1.1129 8.8490 -0.3230
O -2.2134 8.2250 -2.6643
O 0.4199 8.5629 -2.4797
O -2.0867 6.1396 -0.6556
O 0.5466 6.4775 -0.4709
O -0.5539 5.8535 -2.8123
O -0.4588 4.0472 -0.8630

3.
46
Lattice="-3.3137 -4.2963 -7.2959 -1.3220 -4.1273 3.0308 -10.5851 0.2366 4.6683" Properties=species:S:1:pos:R:3 comment="PBE+U Li3Mn4B4O12, relaxed" magnetic_moment_mub_per_atom=0.83 energy_corrected_mp2020_ev_per_atom=-8.047 formation_enthalpy_0k_kj_per_mol_fu=-5462.0 final_energy_ev_per_cell=-340.323 space_group="Pc, No. 7" pbc="T T T"
Li -5.0644 -3.0322 1.4680
Li -9.5675 -1.0026 1.9462
Li -4.1541 -5.5002 -3.2674
Li -12.1396 -5.2251 -0.1226
Li -5.8400 -3.1501 -3.8338
Li -7.8513 -3.3135 2.5793
Mn -7.5623 -5.6258 -3.3180
Mn -12.3733 -6.3430 2.7798
Mn -3.2779 -3.9933 -0.6769
Mn -6.8139 -0.2180 2.5130
Mn -6.5486 -5.7714 1.6172
Mn -10.2813 -2.1708 4.6825
Mn -9.2421 -4.7457 0.1786
Mn -4.4197 -4.0941 -6.2025
B -6.4151 -4.2852 -1.0406
B -13.6143 -7.6768 0.2249
B -2.3295 -2.4387 1.7977
B -7.9983 -1.8346 0.0207
B -5.5061 -4.1447 4.0898
B -11.2326 -3.5510 2.3395
B -3.2749 -2.6909 -3.5666
B -10.5285 -6.0887 -2.2673
O -9.6557 -5.4222 -3.1142
O -3.8215 -5.9272 -1.2862
O -3.1474 -3.3690 1.2822
O -8.9775 -2.7225 -0.3923
O -5.6562 -6.4582 -4.1085
O -7.7582 -1.7011 1.3847
O -5.5453 -3.4626 -0.3388
O -9.9882 -3.7267 6.1803
O -13.1565 -6.5485 0.8143
O -6.5426 -4.1528 -2.3969
O -11.8253 -4.3519 3.3362
O -4.9069 -0.7313 2.0343
O -1.4227 -1.7282 1.0256
O -8.6188 -5.1668 2.1384
O -3.4466 -2.5317 -2.2017
O -3.9424 -3.7340 -4.2008
O -10.5072 -5.9308 -0.9350
O -8.1324 -2.6885 4.4264
O -11.2877 -3.9275 1.0050
O -7.6873 -7.7237 -2.7405
O -5.9034 -4.1249 2.7968
O -10.5785 -2.4053 2.7040
O -7.1575 -5.2801 -0.3734
O -13.1477 -4.4354 -2.1226

> Which formula does entry 3 have?

Li3Mn4B4O12